# 1
A relaxed Rb2BaNb2Se11 crystal. Source: the Materials Project, functional PBE.

Structure (POSCAR):
```
Rb2BaNb2Se11
1.0
8.011 0.000 0.000
0.000 14.304 0.000
-1.886 0.000 17.193
Rb Ba Nb Se
8 4 8 44
direct
0.208 0.117 0.233 Rb
0.208 0.383 0.733 Rb
0.238 0.041 0.915 Rb
0.238 0.459 0.415 Rb
0.762 0.541 0.585 Rb
0.762 0.959 0.085 Rb
0.792 0.617 0.267 Rb
0.792 0.883 0.767 Rb
0.251 0.122 0.533 Ba
0.251 0.378 0.033 Ba
0.749 0.622 0.967 Ba
0.749 0.878 0.467 Ba
0.221 0.717 0.894 Nb
0.221 0.783 0.394 Nb
0.357 0.672 0.695 Nb
0.357 0.828 0.195 Nb
0.643 0.172 0.805 Nb
0.643 0.328 0.305 Nb
0.779 0.217 0.606 Nb
0.779 0.283 0.106 Nb
0.004 0.694 0.445 Se
0.004 0.806 0.945 Se
0.059 0.677 0.749 Se
0.059 0.823 0.249 Se
0.101 0.546 0.894 Se
0.101 0.954 0.394 Se
0.123 0.705 0.154 Se
0.123 0.795 0.654 Se
0.293 0.554 0.601 Se
0.293 0.946 0.101 Se
0.337 0.624 0.024 Se
0.337 0.876 0.524 Se
0.340 0.138 0.736 Se
0.340 0.362 0.236 Se
0.354 0.664 0.302 Se
0.354 0.836 0.802 Se
0.422 0.575 0.825 Se
0.422 0.925 0.325 Se
0.461 0.218 0.389 Se
0.461 0.282 0.889 Se
0.491 0.688 0.433 Se
0.491 0.812 0.933 Se
0.509 0.188 0.067 Se
0.509 0.312 0.567 Se
0.539 0.718 0.111 Se
0.539 0.782 0.611 Se
0.578 0.075 0.675 Se
0.578 0.425 0.175 Se
0.646 0.164 0.198 Se
0.646 0.336 0.698 Se
0.660 0.638 0.764 Se
0.660 0.862 0.264 Se
0.663 0.124 0.476 Se
0.663 0.376 0.976 Se
0.707 0.054 0.899 Se
0.707 0.446 0.399 Se
0.877 0.205 0.346 Se
0.877 0.295 0.846 Se
0.899 0.046 0.606 Se
0.899 0.454 0.106 Se
0.941 0.177 0.751 Se
0.941 0.323 0.251 Se
0.996 0.194 0.055 Se
0.996 0.306 0.555 Se
```

Calculated values
calculated formation energy: -1218 meV/atom
symmetry: No. 14


# 2
A relaxed Ba11Nb6S28 crystal. Source: the Materials Project, functional PBE.

Structure (POSCAR):
```
Ba11Nb6S28
1.0
7.020 0.000 0.000
-0.069 12.035 0.000
-3.449 -2.086 14.062
Ba Nb S
11 6 28
direct
0.000 0.000 0.000 Ba
0.023 0.623 0.006 Ba
0.137 0.375 0.220 Ba
0.232 0.742 0.402 Ba
0.339 0.448 0.610 Ba
0.428 0.803 0.792 Ba
0.532 0.197 0.011 Ba
0.644 0.876 0.216 Ba
0.732 0.242 0.400 Ba
0.836 0.936 0.608 Ba
0.924 0.307 0.790 Ba
0.170 0.043 0.268 Nb
0.288 0.098 0.504 Nb
0.389 0.130 0.737 Nb
0.660 0.558 0.271 Nb
0.795 0.585 0.504 Nb
0.899 0.634 0.739 Nb
0.079 0.695 0.611 S
0.088 0.188 0.606 S
0.137 0.868 0.178 S
0.179 0.350 0.005 S
0.185 0.065 0.822 S
0.190 0.555 0.811 S
0.231 0.239 0.400 S
0.331 0.946 0.607 S
0.369 0.128 0.189 S
0.377 0.625 0.189 S
0.436 0.313 0.807 S
0.470 0.991 0.394 S
0.487 0.497 0.403 S
0.489 0.936 0.002 S
0.583 0.189 0.605 S
0.602 0.694 0.614 S
0.635 0.370 0.209 S
0.650 0.790 0.004 S
0.683 0.557 0.813 S
0.687 0.060 0.814 S
0.731 0.737 0.401 S
0.833 0.443 0.607 S
0.874 0.121 0.194 S
0.881 0.350 0.004 S
0.896 0.626 0.204 S
0.956 0.810 0.830 S
0.985 0.493 0.405 S
0.991 0.989 0.395 S
```

Calculated values
spin magnetization: 0.0 μB per formula unit
calculated formation energy: -1759 meV/atom
symmetry: No. 1


# 3
A relaxed BaNbS3 crystal. Source: the Materials Project, functional PBE.

Structure (POSCAR):
```
BaNbS3
1.0
6.952 0.000 0.000
-3.476 6.021 0.000
0.000 0.000 5.749
Ba Nb S
2 2 6
direct
0.333 0.667 0.250 Ba
0.667 0.333 0.750 Ba
0.000 0.000 0.000 Nb
0.000 0.000 0.500 Nb
0.171 0.342 0.750 S
0.171 0.829 0.750 S
0.342 0.171 0.250 S
0.658 0.829 0.750 S
0.829 0.171 0.250 S
0.829 0.658 0.250 S
```

Calculated values
calculated formation energy: -1747 meV/atom
symmetry: No. 194


What are the E values for these records? In order: -0.176; -0.214; -0.233 Ha/atom.